# 1
Compound: Nb2SiTe4
Source: the Materials Project database
Functional: PBE
Structure: optimized geometry

POSCAR file:
```
Nb2SiTe4
1.0
3.713 0.000 0.000
0.012 6.740 0.000
1.382 2.776 7.423
Nb Si Te
2 1 4
direct
0.000 0.000 0.000 Nb
0.498 0.343 0.026 Nb
0.656 0.635 0.576 Si
0.078 0.677 0.815 Te
0.428 0.669 0.203 Te
0.601 0.201 0.726 Te
0.898 0.131 0.293 Te
```

Values from the calculation:
For the formation energy, the calculation gives -3.26 eV per formula unit. The calculation puts the polymorph energy (0 for the lowest one) at 26.25 kJ per mole of atoms. The calculation puts the total energy at -5.682 eV/atom. The space group is P1.

=====

# 2
Compound: Nb2SiTe4
Source: the Materials Project database
Functional: PBE
Structure: optimized geometry

POSCAR file:
```
Nb2SiTe4
1.0
3.566 0.000 0.000
0.005 6.895 0.000
0.450 2.282 7.952
Nb Si Te
2 1 4
direct
0.000 0.211 0.000 Nb
0.000 0.789 0.000 Nb
0.500 0.500 0.000 Si
0.033 0.590 0.728 Te
0.470 0.926 0.222 Te
0.530 0.074 0.778 Te
0.967 0.410 0.272 Te
```

Values from the calculation:
For the formation energy, the calculation gives -4.85 eV per formula unit. The calculation puts the polymorph energy (0 for the lowest one) at 4.28 kJ per mole of atoms. The calculation puts the total energy at -5.910 eV/atom. The space group is P-1.

=====

# 3
Compound: Nb2V3Si3
Source: the Materials Project database
Functional: PBE
Structure: optimized geometry

POSCAR file:
```
Nb2V3Si3
1.0
7.324 0.000 0.000
-3.662 6.343 0.000
0.000 0.000 5.228
Nb V Si
4 6 6
direct
0.333 0.667 0.000 Nb
0.333 0.667 0.500 Nb
0.667 0.333 0.000 Nb
0.667 0.333 0.500 Nb
0.000 0.258 0.250 V
0.000 0.742 0.750 V
0.258 0.000 0.250 V
0.258 0.258 0.750 V
0.742 0.000 0.750 V
0.742 0.742 0.250 V
0.000 0.380 0.750 Si
0.000 0.620 0.250 Si
0.380 0.000 0.750 Si
0.380 0.380 0.250 Si
0.620 0.000 0.250 Si
0.620 0.620 0.750 Si
```

Values from the calculation:
For the formation energy, the calculation gives -2.69 eV per formula unit. The calculation puts the total energy at -8.330 eV/atom. The space group is P6_3/mcm.